Arrangement a

Here is a geometry-optimized Li2CoC2O6 structure from Materials Project. Energies are from PBE with a Hubbard U.

```
Li2CoC2O6
1.0
-2.351 -3.782 -6.151
-8.689 -5.301 2.070
-4.165 6.001 -2.101
O Li C Co
24 8 8 4
direct
0.882 0.884 0.857 O
0.619 0.617 0.143 O
0.881 0.383 0.643 O
0.626 0.549 0.761 O
0.381 0.383 0.857 O
0.248 0.652 0.104 O
0.252 0.349 0.604 O
0.119 0.617 0.357 O
0.874 0.951 0.240 O
0.247 0.152 0.395 O
0.618 0.117 0.357 O
0.747 0.152 0.105 O
0.752 0.348 0.896 O
0.374 0.451 0.239 O
0.626 0.049 0.740 O
0.126 0.049 0.760 O
0.748 0.651 0.396 O
0.874 0.451 0.261 O
0.374 0.951 0.260 O
0.253 0.848 0.895 O
0.126 0.549 0.739 O
0.118 0.116 0.143 O
0.753 0.848 0.605 O
0.382 0.883 0.643 O
0.896 0.788 0.382 Li
0.104 0.712 0.882 Li
0.604 0.712 0.618 Li
0.396 0.288 0.382 Li
0.396 0.788 0.118 Li
0.104 0.212 0.618 Li
0.604 0.212 0.882 Li
0.896 0.288 0.118 Li
0.745 0.572 0.263 C
0.755 0.928 0.737 C
0.255 0.928 0.763 C
0.255 0.428 0.737 C
0.245 0.572 0.237 C
0.245 0.072 0.263 C
0.745 0.072 0.237 C
0.755 0.428 0.763 C
0.000 0.500 0.500 Co
0.000 0.000 0.000 Co
0.500 0.500 0.000 Co
0.500 0.000 0.500 Co
```

The calculated volume comes out at 561.2 Å³/cell.


Arrangement b

Here is a geometry-optimized Li2CoC2O6 structure from Materials Project. Energies are from PBE with a Hubbard U.

```
Li2CoC2O6
1.0
7.893 -0.521 3.666
3.114 -1.977 -4.805
3.467 3.648 -2.587
O C Li Co
12 4 4 2
direct
0.455 0.129 0.481 O
0.545 0.872 0.063 O
0.737 0.434 0.166 O
0.236 0.066 0.850 O
0.045 0.628 0.184 O
0.272 0.460 0.001 O
0.955 0.371 0.859 O
0.263 0.566 0.337 O
0.729 0.541 0.732 O
0.763 0.934 0.153 O
0.772 0.040 0.711 O
0.229 0.959 0.523 O
0.805 0.451 0.915 C
0.306 0.049 0.617 C
0.694 0.951 0.971 C
0.195 0.549 0.171 C
0.659 0.914 0.535 Li
0.159 0.586 0.698 Li
0.841 0.414 0.443 Li
0.341 0.086 0.107 Li
0.000 0.000 0.995 Co
0.500 0.500 0.245 Co
```

The calculated volume comes out at 250.0 Å³/cell.


Arrangement c

Here is a geometry-optimized Li2CoC2O6 structure from Materials Project. Energies are from PBE with a Hubbard U.

```
Li2CoC2O6
1.0
-4.875 -7.706 -2.991
3.857 0.141 -6.650
6.519 -4.305 0.466
O Li C Co
24 8 8 4
direct
0.897 0.289 0.510 O
0.531 0.454 0.010 O
0.667 0.173 0.336 O
0.609 0.839 0.962 O
0.992 0.511 0.595 O
0.104 0.419 0.391 O
0.320 0.549 0.876 O
0.109 0.161 0.038 O
0.604 0.581 0.609 O
0.336 0.336 0.159 O
0.878 0.105 0.092 O
0.167 0.827 0.664 O
0.378 0.895 0.908 O
0.492 0.489 0.405 O
0.820 0.451 0.124 O
0.495 0.014 0.091 O
0.995 0.986 0.909 O
0.981 0.949 0.495 O
0.836 0.664 0.841 O
0.031 0.546 0.990 O
0.696 0.930 0.595 O
0.196 0.070 0.405 O
0.481 0.051 0.505 O
0.397 0.711 0.490 O
0.132 0.547 0.756 Li
0.364 0.286 0.420 Li
0.866 0.015 0.712 Li
0.366 0.985 0.288 Li
0.632 0.453 0.244 Li
0.140 0.805 0.924 Li
0.864 0.714 0.580 Li
0.640 0.195 0.076 Li
0.494 0.916 0.988 C
0.615 0.049 0.481 C
0.894 0.552 0.987 C
0.394 0.448 0.013 C
0.115 0.951 0.519 C
0.994 0.084 0.012 C
0.498 0.593 0.501 C
0.998 0.407 0.499 C
0.382 0.822 0.689 Co
0.625 0.674 0.816 Co
0.125 0.326 0.184 Co
0.882 0.178 0.311 Co
```

The calculated volume comes out at 539.6 Å³/cell.


The structure with the least stability is arrangement b.


Arrangement a

Here is a geometry-optimized Li2CoC2O6 structure from Materials Project. Energies are from PBE with a Hubbard U.

```
Li2CoC2O6
1.0
-2.974 -7.615 5.265
7.190 -2.253 0.803
5.437 2.614 6.852
O Li C Co
24 8 8 4
direct
0.024 0.123 0.684 O
0.514 0.516 0.748 O
0.808 0.560 0.819 O
0.383 0.793 0.338 O
0.883 0.207 0.162 O
0.175 0.521 0.383 O
0.524 0.877 0.816 O
0.486 0.484 0.252 O
0.308 0.440 0.681 O
0.014 0.484 0.752 O
0.325 0.521 0.883 O
0.986 0.516 0.248 O
0.476 0.123 0.184 O
0.602 0.855 0.388 O
0.675 0.479 0.117 O
0.192 0.440 0.181 O
0.102 0.145 0.112 O
0.617 0.207 0.662 O
0.825 0.479 0.617 O
0.692 0.560 0.319 O
0.898 0.855 0.888 O
0.398 0.145 0.612 O
0.976 0.877 0.316 O
0.117 0.793 0.838 O
0.379 0.365 0.143 Li
0.317 0.844 0.789 Li
0.817 0.156 0.711 Li
0.879 0.635 0.357 Li
0.621 0.635 0.857 Li
0.183 0.844 0.289 Li
0.683 0.156 0.211 Li
0.121 0.365 0.643 Li
0.015 0.924 0.802 C
0.118 0.490 0.269 C
0.485 0.924 0.302 C
0.882 0.510 0.731 C
0.618 0.510 0.231 C
0.985 0.076 0.198 C
0.382 0.490 0.769 C
0.515 0.076 0.698 C
0.119 0.460 0.952 Co
0.881 0.540 0.048 Co
0.381 0.460 0.452 Co
0.619 0.540 0.548 Co
```

The calculated volume comes out at 557.5 Å³/cell.


Arrangement b

Here is a geometry-optimized Li2CoC2O6 structure from Materials Project. Energies are from PBE with a Hubbard U.

```
Li2CoC2O6
1.0
-0.022 0.002 -5.550
-0.013 -8.144 -2.772
-5.324 -0.002 2.754
O C Li Co
12 4 4 2
direct
0.928 0.258 0.591 O
0.910 0.555 0.882 O
0.755 0.808 0.021 O
0.566 0.446 0.115 O
0.095 0.761 0.900 O
0.215 0.945 0.382 O
0.313 0.692 0.521 O
0.469 0.307 0.476 O
0.605 0.739 0.400 O
0.526 0.193 0.976 O
0.936 0.242 0.091 O
0.763 0.054 0.615 O
0.723 0.203 0.560 C
0.675 0.297 0.060 C
0.924 0.705 0.935 C
0.378 0.795 0.435 C
0.199 0.343 0.067 Li
0.291 0.157 0.566 Li
0.493 0.658 0.951 Li
0.900 0.842 0.450 Li
0.920 0.000 0.004 Co
0.670 0.500 0.504 Co
```

The calculated volume comes out at 241.2 Å³/cell.


The structure with the least stability is arrangement b.


Arrangement a

Here is a geometry-optimized Li2CoC2O6 structure from Materials Project. Energies are from PBE with a Hubbard U.

```
Li2CoC2O6
1.0
3.898 -4.478 -2.626
4.810 0.501 6.284
-3.526 -8.476 3.376
O C Co Li
24 8 4 8
direct
0.400 0.751 0.493 O
0.893 0.132 0.197 O
0.649 0.748 0.743 O
0.091 0.882 0.805 O
0.714 0.088 0.963 O
0.643 0.366 0.947 O
0.038 0.601 0.794 O
0.357 0.238 0.266 O
0.788 0.898 0.545 O
0.964 0.410 0.213 O
0.108 0.260 0.016 O
0.393 0.132 0.697 O
0.857 0.238 0.766 O
0.214 0.088 0.463 O
0.340 0.617 0.055 O
0.288 0.898 0.045 O
0.465 0.410 0.713 O
0.591 0.882 0.305 O
0.149 0.748 0.243 O
0.143 0.366 0.447 O
0.538 0.601 0.294 O
0.840 0.617 0.555 O
0.608 0.260 0.516 O
0.900 0.750 0.993 O
0.758 0.756 0.613 C
0.989 0.269 0.143 C
0.489 0.269 0.643 C
0.239 0.230 0.393 C
0.739 0.230 0.893 C
0.258 0.756 0.113 C
0.008 0.742 0.862 C
0.508 0.742 0.362 C
0.014 0.003 0.003 Co
0.263 0.495 0.253 Co
0.514 0.003 0.503 Co
0.764 0.495 0.753 Co
0.586 0.080 0.179 Li
0.795 0.587 0.139 Li
0.295 0.587 0.639 Li
0.544 0.911 0.889 Li
0.337 0.418 0.929 Li
0.044 0.911 0.389 Li
0.086 0.081 0.679 Li
0.837 0.418 0.429 Li
```

The calculated volume comes out at 488.6 Å³/cell.


Arrangement b

Here is a geometry-optimized Li2CoC2O6 structure from Materials Project. Energies are from PBE with a Hubbard U.

```
Li2CoC2O6
1.0
-4.816 7.981 2.631
-6.357 -2.857 -2.971
-3.947 -4.183 5.466
Co O Li C
4 24 8 8
direct
0.129 0.325 0.184 Co
0.629 0.675 0.816 Co
0.887 0.191 0.315 Co
0.387 0.809 0.685 Co
0.988 0.960 0.500 O
0.108 0.132 0.060 O
0.983 0.996 0.905 O
0.026 0.523 0.988 O
0.002 0.522 0.594 O
0.673 0.155 0.329 O
0.878 0.099 0.106 O
0.378 0.901 0.894 O
0.834 0.657 0.849 O
0.173 0.845 0.671 O
0.322 0.542 0.864 O
0.603 0.568 0.618 O
0.526 0.477 0.012 O
0.483 0.004 0.095 O
0.103 0.432 0.382 O
0.488 0.040 0.500 O
0.608 0.868 0.940 O
0.502 0.478 0.406 O
0.822 0.458 0.136 O
0.202 0.079 0.408 O
0.334 0.343 0.151 O
0.401 0.700 0.490 O
0.702 0.921 0.592 O
0.901 0.300 0.510 O
0.631 0.435 0.235 Li
0.367 0.975 0.298 Li
0.373 0.283 0.407 Li
0.177 0.922 0.898 Li
0.677 0.078 0.102 Li
0.873 0.717 0.593 Li
0.131 0.565 0.765 Li
0.867 0.025 0.702 Li
0.989 0.076 0.022 C
0.893 0.546 0.993 C
0.621 0.037 0.476 C
0.003 0.419 0.495 C
0.393 0.454 0.007 C
0.503 0.581 0.505 C
0.489 0.924 0.978 C
0.121 0.963 0.524 C
```

The calculated volume comes out at 546.3 Å³/cell.


Arrangement c

Here is a geometry-optimized Li2CoC2O6 structure from Materials Project. Energies are from PBE with a Hubbard U.

```
Li2CoC2O6
1.0
-1.041 2.089 4.673
-7.964 4.149 -5.095
-7.449 -6.474 -0.025
O Co Li C
24 4 8 8
direct
0.561 0.107 0.095 O
0.368 0.110 0.557 O
0.868 0.610 0.057 O
0.315 0.350 0.925 O
0.059 0.607 0.596 O
0.002 0.775 0.161 O
0.968 0.056 0.178 O
0.816 0.850 0.426 O
0.035 0.185 0.871 O
0.391 0.860 0.419 O
0.700 0.874 0.698 O
0.056 0.934 0.830 O
0.890 0.361 0.919 O
0.662 0.921 0.901 O
0.198 0.374 0.198 O
0.538 0.684 0.371 O
0.737 0.135 0.307 O
0.502 0.275 0.660 O
0.467 0.556 0.677 O
0.239 0.634 0.807 O
0.788 0.180 0.571 O
0.162 0.422 0.401 O
0.554 0.434 0.330 O
0.288 0.680 0.072 O
0.138 0.503 0.998 Co
0.985 0.985 0.017 Co
0.638 0.002 0.497 Co
0.486 0.485 0.517 Co
0.120 0.994 0.368 Li
0.071 0.727 0.399 Li
0.619 0.495 0.868 Li
0.617 0.654 0.188 Li
0.117 0.153 0.688 Li
0.571 0.228 0.898 Li
0.835 0.313 0.346 Li
0.335 0.813 0.847 Li
0.083 0.298 0.905 C
0.584 0.797 0.405 C
0.747 0.100 0.189 C
0.554 0.190 0.597 C
0.054 0.690 0.097 C
0.246 0.600 0.689 C
0.804 0.909 0.806 C
0.303 0.409 0.306 C
```

The calculated volume comes out at 498.6 Å³/cell.


The structure with the least stability is arrangement b.